[1]
A relaxed V3Te4 crystal. Source: Materials Project, functional PBE.

The structure in CIF format:
```
data_V3Te4
_space_group_name_H-M_alt 'C 1 2/m 1'
_space_group_IT_number 12
_cell_length_a 14.033
_cell_length_b 3.961
_cell_length_c 6.874
_cell_angle_alpha 90.00
_cell_angle_beta 117.54
_cell_angle_gamma 90.00
loop_
_space_group_symop_operation_xyz
'x,y,z'
'-x,-y,-z'
'-x,y,-z'
'x,-y,z'
'x+1/2,y+1/2,z'
'-x+1/2,-y+1/2,-z'
'-x+1/2,y+1/2,-z'
'x+1/2,-y+1/2,z'
loop_
_atom_site_label
_atom_site_type_symbol
_atom_site_fract_x
_atom_site_fract_y
_atom_site_fract_z
V1 V 0.000 0.000 0.000
V2 V 0.244 0.500 0.706
Te1 Te 0.111 0.000 0.453
Te2 Te 0.137 0.500 0.976
```

Summary:
ΔH_f (0 K) = -0.559 eV/atom

[2]
A relaxed V5Te8 crystal. Source: Materials Project, functional PBE.

The structure in CIF format:
```
data_V5Te8
_space_group_name_H-M_alt 'C 1 2/m 1'
_space_group_IT_number 12
_cell_length_a 12.538
_cell_length_b 7.886
_cell_length_c 8.997
_cell_angle_alpha 90.00
_cell_angle_beta 133.04
_cell_angle_gamma 90.00
loop_
_space_group_symop_operation_xyz
'x,y,z'
'-x,-y,-z'
'-x,y,-z'
'x,-y,z'
'x+1/2,y+1/2,z'
'-x+1/2,-y+1/2,-z'
'-x+1/2,y+1/2,-z'
'x+1/2,-y+1/2,z'
loop_
_atom_site_label
_atom_site_type_symbol
_atom_site_fract_x
_atom_site_fract_y
_atom_site_fract_z
V1 V 0.000 0.000 0.000
V2 V 0.000 0.288 0.500
V3 V 0.217 0.500 0.951
Te1 Te 0.013 0.000 0.320
Te2 Te 0.071 0.500 0.346
Te3 Te 0.207 0.254 0.166
```

Summary:
ΔH_f (0 K) = -0.602 eV/atom

[3]
A relaxed VTe crystal. Source: Materials Project, functional PBE.

The structure in CIF format:
```
data_VTe
_space_group_name_H-M_alt 'P 63/m m c'
_space_group_IT_number 194
_space_group_name_Hall '-P 6c 2c'
_cell_length_a 4.1159
_cell_length_b 4.1159
_cell_length_c 6.0492
_cell_angle_alpha 90.00
_cell_angle_beta 90.00
_cell_angle_gamma 120.00
loop_
_atom_site_label
_atom_site_type_symbol
_atom_site_fract_x
_atom_site_fract_y
_atom_site_fract_z
V1 V 0.0000 0.0000 0.0000
Te1 Te 0.3333 0.6667 0.2500
```

Summary:
ΔH_f (0 K) = -0.378 eV/atom
Total moment = 1.26 μB/atom

[4]
A relaxed Te2W crystal. Source: Materials Project, functional PBE.

The structure in CIF format:
```
data_Te2W
_space_group_name_H-M_alt 'P -6 m 2'
_space_group_IT_number 187
_space_group_name_Hall 'P -6 2'
_cell_length_a 3.5543
_cell_length_b 3.5543
_cell_length_c 17.5161
_cell_angle_alpha 90.00
_cell_angle_beta 90.00
_cell_angle_gamma 120.00
loop_
_atom_site_label
_atom_site_type_symbol
_atom_site_fract_x
_atom_site_fract_y
_atom_site_fract_z
Te1 Te 0.0000 0.0000 0.1037
W1 W 0.6667 0.3333 0.0000
```

Summary:
Largest piezoelectric modulus = 0.24 C/m2
ΔH_f (0 K) = -0.077 eV/atom

[5]
A relaxed Te2W crystal. Source: Materials Project, functional PBE.

The structure in CIF format:
```
data_Te2W
_space_group_name_H-M_alt 'P -3 m 1'
_space_group_IT_number 164
_space_group_name_Hall '-P 3 2"'
_cell_length_a 3.5566
_cell_length_b 3.5566
_cell_length_c 25.0541
_cell_angle_alpha 90.00
_cell_angle_beta 90.00
_cell_angle_gamma 120.00
loop_
_atom_site_label
_atom_site_type_symbol
_atom_site_fract_x
_atom_site_fract_y
_atom_site_fract_z
Te1 Te 0.3333 0.6667 0.0780
Te2 Te 0.3333 0.6667 0.2230
W1 W 0.3333 0.6667 0.8495
```

Summary:
ΔH_f (0 K) = -0.080 eV/atom

[6]
A relaxed Te2W crystal. Source: Materials Project, functional PBE.

The structure in CIF format:
```
data_Te2W
_space_group_name_H-M_alt 'P 63/m m c'
_space_group_IT_number 194
_space_group_name_Hall '-P 6c 2c'
_cell_length_a 3.5529
_cell_length_b 3.5529
_cell_length_c 15.1173
_cell_angle_alpha 90.00
_cell_angle_beta 90.00
_cell_angle_gamma 120.00
loop_
_atom_site_label
_atom_site_type_symbol
_atom_site_fract_x
_atom_site_fract_y
_atom_site_fract_z
Te1 Te 0.3333 0.6667 0.1294
W1 W 0.3333 0.6667 0.7500
```

Summary:
ΔH_f (0 K) = -0.082 eV/atom

[7]
A relaxed Te2W crystal. Source: Materials Project, functional PBE.

The structure in CIF format:
```
data_Te2W
_space_group_name_H-M_alt 'P -6 m 2'
_space_group_IT_number 187
_space_group_name_Hall 'P -6 2'
_cell_length_a 3.5567
_cell_length_b 3.5567
_cell_length_c 32.5885
_cell_angle_alpha 90.00
_cell_angle_beta 90.00
_cell_angle_gamma 120.00
loop_
_atom_site_label
_atom_site_type_symbol
_atom_site_fract_x
_atom_site_fract_y
_atom_site_fract_z
Te1 Te 0.0000 0.0000 0.0557
Te2 Te 0.3333 0.6667 0.1756
Te3 Te 0.3333 0.6667 0.2870
W1 W 0.0000 0.0000 0.2313
W2 W 0.3333 0.6667 0.0000
```

Summary:
ΔH_f (0 K) = -0.080 eV/atom

[8]
A relaxed Te2W crystal. Source: Materials Project, functional PBE.

The structure in CIF format:
```
data_Te2W
_space_group_name_H-M_alt 'P m n 21'
_space_group_IT_number 31
_cell_length_a 3.498
_cell_length_b 6.338
_cell_length_c 15.432
_cell_angle_alpha 90.00
_cell_angle_beta 90.00
_cell_angle_gamma 90.00
loop_
_space_group_symop_operation_xyz
'x,y,z'
'-x+1/2,-y,z+1/2'
'-x,y,z'
'x+1/2,-y,z+1/2'
loop_
_atom_site_label
_atom_site_type_symbol
_atom_site_fract_x
_atom_site_fract_y
_atom_site_fract_z
Te1 Te 0.000 0.141 0.000
Te2 Te 0.000 0.351 0.460
Te3 Te 0.000 0.699 0.228
Te4 Te 0.000 0.792 0.768
W1 W 0.000 0.399 0.857
W2 W 0.000 0.958 0.371
```

Summary:
ΔH_f (0 K) = -0.106 eV/atom

[9]
A relaxed Te2W crystal. Source: Materials Project, functional PBE.

The structure in CIF format:
```
data_Te2W
_space_group_name_H-M_alt 'P -3 m 1'
_space_group_IT_number 164
_space_group_name_Hall '-P 3 2"'
_cell_length_a 3.5571
_cell_length_b 3.5571
_cell_length_c 40.1392
_cell_angle_alpha 90.00
_cell_angle_beta 90.00
_cell_angle_gamma 120.00
loop_
_atom_site_label
_atom_site_type_symbol
_atom_site_fract_x
_atom_site_fract_y
_atom_site_fract_z
Te1 Te 0.3333 0.6667 0.2365
Te2 Te 0.3333 0.6667 0.3271
Te3 Te 0.3333 0.6667 0.8608
Te4 Te 0.3333 0.6667 0.9513
W1 W 0.3333 0.6667 0.0939
W2 W 0.3333 0.6667 0.7182
```

Summary:
ΔH_f (0 K) = -0.081 eV/atom

[10]
A relaxed YTe crystal. Source: Materials Project, functional PBE.

The structure in CIF format:
```
data_YTe
_space_group_name_H-M_alt 'F m -3 m'
_space_group_IT_number 225
_space_group_name_Hall '-F 4 2 3'
_cell_length_a 6.179
_cell_length_b 6.179
_cell_length_c 6.179
_cell_angle_alpha 90.00
_cell_angle_beta 90.00
_cell_angle_gamma 90.00
loop_
_atom_site_label
_atom_site_type_symbol
_atom_site_fract_x
_atom_site_fract_y
_atom_site_fract_z
Y1 Y 0.000 0.000 0.000
Te1 Te 0.000 0.000 0.500
```

Summary:
ΔH_f (0 K) = -1.519 eV/atom

[11]
A relaxed YTe2 crystal. Source: Materials Project, functional PBE.

The structure in CIF format:
```
data_YTe2
_space_group_name_H-M_alt 'P 4/n m m'
_space_group_IT_number 129
_cell_length_a 4.452
_cell_length_b 4.452
_cell_length_c 8.916
_cell_angle_alpha 90.00
_cell_angle_beta 90.00
_cell_angle_gamma 90.00
loop_
_space_group_symop_operation_xyz
'x,y,z'
'-x,-y,-z'
'-y+1/2,x,z'
'y+1/2,-x,-z'
'-x+1/2,-y+1/2,z'
'x+1/2,y+1/2,-z'
'y,-x+1/2,z'
'-y,x+1/2,-z'
'x+1/2,-y,-z'
'-x+1/2,y,z'
'-y,-x,-z'
'y,x,z'
'-x,y+1/2,-z'
'x,-y+1/2,z'
'y+1/2,x+1/2,-z'
'-y+1/2,-x+1/2,z'
loop_
_atom_site_label
_atom_site_type_symbol
_atom_site_fract_x
_atom_site_fract_y
_atom_site_fract_z
Y1 Y 0.250 0.250 0.229
Te1 Te 0.250 0.250 0.870
Te2 Te 0.250 0.750 0.500
```

Summary:
ΔH_f (0 K) = -1.441 eV/atom

[12]
A relaxed YTe crystal. Source: Materials Project, functional PBE.

The structure in CIF format:
```
data_YTe
_space_group_name_H-M_alt 'P -6 m 2'
_space_group_IT_number 187
_space_group_name_Hall 'P -6 2'
_cell_length_a 4.1135
_cell_length_b 4.1135
_cell_length_c 4.0609
_cell_angle_alpha 90.00
_cell_angle_beta 90.00
_cell_angle_gamma 120.00
loop_
_atom_site_label
_atom_site_type_symbol
_atom_site_fract_x
_atom_site_fract_y
_atom_site_fract_z
Y1 Y 0.0000 0.0000 0.0000
Te1 Te 0.3333 0.6667 0.5000
```

Summary:
ΔH_f (0 K) = -1.532 eV/atom

[13]
A relaxed YTe3 crystal. Source: Materials Project, functional PBE.

The structure in CIF format:
```
data_YTe3
_space_group_name_H-M_alt 'C m c m'
_space_group_IT_number 63
_space_group_name_Hall '-C 2c 2'
_cell_length_a 4.347
_cell_length_b 26.039
_cell_length_c 4.347
_cell_angle_alpha 90.00
_cell_angle_beta 90.00
_cell_angle_gamma 90.00
loop_
_atom_site_label
_atom_site_type_symbol
_atom_site_fract_x
_atom_site_fract_y
_atom_site_fract_z
Y1 Y 0.000 0.170 0.250
Te1 Te 0.000 0.074 0.750
Te2 Te 0.000 0.293 0.250
Te3 Te 0.000 0.425 0.750
```

Summary:
ΔH_f (0 K) = -1.250 eV/atom